1.
PBE CdI2, relaxed; space-group type = P3m1 (156)
1.0
2.599 3.466 -0.328
-4.218 0.348 -0.981
-22.186 26.576 104.858
Cd I
15 30
Direct
0.333 0.667 0.217
0.333 0.667 0.550
0.000 0.000 0.283
0.333 0.667 0.817
0.333 0.667 0.350
0.333 0.667 0.017
0.000 0.000 0.683
0.000 0.000 0.483
0.333 0.667 0.750
0.000 0.000 0.083
0.333 0.667 0.883
0.333 0.667 0.417
0.333 0.667 0.150
0.333 0.667 0.617
0.000 0.000 0.950
0.333 0.667 0.268
0.667 0.333 0.499
0.667 0.333 0.899
0.667 0.333 0.566
0.667 0.333 0.366
0.333 0.667 0.468
0.667 0.333 0.099
0.667 0.333 0.966
0.667 0.333 0.766
0.667 0.333 0.699
0.333 0.667 0.934
0.000 0.000 0.334
0.667 0.333 0.232
0.000 0.000 0.801
0.333 0.667 0.668
0.000 0.000 0.734
0.333 0.667 0.068
0.000 0.000 0.534
0.667 0.333 0.299
0.667 0.333 0.832
0.667 0.333 0.632
0.667 0.333 0.032
0.667 0.333 0.166
0.000 0.000 0.868
0.000 0.000 0.001
0.000 0.000 0.201
0.000 0.000 0.401
0.000 0.000 0.601
0.000 0.000 0.134
0.667 0.333 0.432

***

2.
PBE CdI2, relaxed; space-group type = P3m1 (156)
1.0
2.167 -3.753 0.000
2.167 3.753 0.000
0.000 0.000 45.352
I Cd
12 6
Direct
0.000 0.000 0.004
0.333 0.667 0.913
0.333 0.667 0.246
0.000 0.000 0.580
0.333 0.667 0.746
0.667 0.333 0.670
0.667 0.333 0.837
0.667 0.333 0.504
0.000 0.000 0.413
0.667 0.333 0.170
0.333 0.667 0.080
0.667 0.333 0.337
0.333 0.667 0.375
0.667 0.333 0.042
0.333 0.667 0.542
0.000 0.000 0.208
0.000 0.000 0.875
0.000 0.000 0.708

***

3.
PBE CdI2, relaxed; space-group type = P3m1 (156)
1.0
-0.030 -0.081 4.334
-1.871 -3.205 -2.240
39.607 -23.010 -0.156
I Cd
12 6
Direct
0.000 0.000 0.171
0.000 0.000 0.671
0.667 0.333 0.413
0.333 0.667 0.079
0.667 0.333 0.579
0.000 0.000 0.504
0.667 0.333 0.746
0.000 0.000 0.004
0.667 0.333 0.913
0.000 0.000 0.837
0.000 0.000 0.337
0.333 0.667 0.246
0.333 0.667 0.542
0.333 0.667 0.875
0.333 0.667 0.708
0.333 0.667 0.375
0.667 0.333 0.208
0.667 0.333 0.042

***

4.
PBE CdI2, relaxed; space-group type = P3m1 (156)
1.0
2.170 -3.758 0.000
2.170 3.758 0.000
0.000 0.000 161.688
I Cd
44 22
Direct
0.333 0.667 0.819
0.000 0.000 0.046
0.667 0.333 0.658
0.000 0.000 0.522
0.667 0.333 0.204
0.000 0.000 0.477
0.333 0.667 0.728
0.667 0.333 0.795
0.333 0.667 0.683
0.333 0.667 0.546
0.333 0.667 0.592
0.000 0.000 0.137
0.667 0.333 0.158
0.000 0.000 0.931
0.333 0.667 0.273
0.333 0.667 0.319
0.000 0.000 0.749
0.667 0.333 0.068
0.333 0.667 0.773
0.000 0.000 0.340
0.000 0.000 0.886
0.667 0.333 0.022
0.333 0.667 0.955
0.667 0.333 0.113
0.667 0.333 0.977
0.667 0.333 0.613
0.333 0.667 0.910
0.000 0.000 0.704
0.667 0.333 0.431
0.333 0.667 0.501
0.333 0.667 0.364
0.667 0.333 0.249
0.667 0.333 0.840
0.333 0.667 0.092
0.667 0.333 0.386
0.667 0.333 0.295
0.333 0.667 0.228
0.333 0.667 0.001
0.333 0.667 0.410
0.000 0.000 0.182
0.333 0.667 0.637
0.333 0.667 0.864
0.333 0.667 0.455
0.000 0.000 0.568
0.000 0.000 0.239
0.000 0.000 0.784
0.000 0.000 0.375
0.667 0.333 0.511
0.000 0.000 0.648
0.000 0.000 0.966
0.333 0.667 0.057
0.667 0.333 0.466
0.000 0.000 0.284
0.000 0.000 0.011
0.333 0.667 0.193
0.000 0.000 0.830
0.333 0.667 0.148
0.667 0.333 0.739
0.000 0.000 0.602
0.667 0.333 0.693
0.667 0.333 0.875
0.667 0.333 0.557
0.667 0.333 0.920
0.667 0.333 0.330
0.000 0.000 0.420
0.000 0.000 0.102

***

5.
PBE CdI2, relaxed; space-group type = P3m1 (156)
1.0
2.166 -3.752 0.000
2.166 3.752 0.000
0.000 0.000 44.452
I Cd
12 6
Direct
0.667 0.333 0.747
0.000 0.000 0.836
0.000 0.000 0.169
0.333 0.667 0.003
0.000 0.000 0.669
0.333 0.667 0.336
0.333 0.667 0.503
0.667 0.333 0.914
0.667 0.333 0.414
0.667 0.333 0.247
0.667 0.333 0.081
0.667 0.333 0.581
0.000 0.000 0.042
0.333 0.667 0.708
0.333 0.667 0.208
0.000 0.000 0.542
0.333 0.667 0.875
0.000 0.000 0.375

***

6.
PBE CdI2, relaxed; space-group type = P3m1 (156)
1.0
-3.403 0.221 -2.672
-0.351 -2.074 3.788
-12.887 37.878 19.550
Cd I
6 12
Direct
0.000 0.000 0.875
0.000 0.000 0.208
0.000 0.000 0.542
0.333 0.667 0.708
0.667 0.333 0.042
0.667 0.333 0.375
0.333 0.667 0.080
0.333 0.667 0.580
0.667 0.333 0.670
0.333 0.667 0.247
0.000 0.000 0.003
0.333 0.667 0.414
0.000 0.000 0.336
0.667 0.333 0.503
0.000 0.000 0.747
0.333 0.667 0.914
0.667 0.333 0.836
0.667 0.333 0.170

***

7.
PBE CdI2, relaxed; space-group type = P3m1 (156)
1.0
1.042 3.363 2.529
-2.907 0.496 -3.177
-33.112 -11.204 28.552
I Cd
12 6
Direct
0.333 0.667 0.581
0.333 0.667 0.246
0.000 0.000 0.004
0.333 0.667 0.080
0.667 0.333 0.505
0.667 0.333 0.670
0.667 0.333 0.837
0.333 0.667 0.413
0.333 0.667 0.913
0.000 0.000 0.337
0.667 0.333 0.170
0.333 0.667 0.747
0.667 0.333 0.042
0.000 0.000 0.709
0.000 0.000 0.875
0.000 0.000 0.543
0.000 0.000 0.208
0.667 0.333 0.375

***

8.
PBE CdI2, relaxed; space-group type = P3m1 (156)
1.0
3.258 2.540 -1.317
-3.653 -0.220 -2.324
-34.157 68.293 47.226
Cd I
12 24
Direct
0.667 0.333 0.188
0.000 0.000 0.771
0.667 0.333 0.354
0.667 0.333 0.604
0.000 0.000 0.104
0.000 0.000 0.437
0.667 0.333 0.688
0.667 0.333 0.021
0.667 0.333 0.937
0.000 0.000 0.854
0.000 0.000 0.521
0.000 0.000 0.271
0.333 0.667 0.540
0.000 0.000 0.918
0.000 0.000 0.585
0.333 0.667 0.957
0.000 0.000 0.002
0.667 0.333 0.752
0.333 0.667 0.790
0.333 0.667 0.707
0.333 0.667 0.207
0.333 0.667 0.123
0.333 0.667 0.457
0.333 0.667 0.623
0.000 0.000 0.668
0.333 0.667 0.290
0.667 0.333 0.085
0.333 0.667 0.873
0.333 0.667 0.373
0.333 0.667 0.040
0.667 0.333 0.418
0.667 0.333 0.502
0.000 0.000 0.335
0.000 0.000 0.168
0.667 0.333 0.835
0.667 0.333 0.252

***

What energy with MP2020 corrections values result from the calculations? In sequence: -2.16 -2.16 -2.16 -2.16 -2.16 -2.16 -2.16 -2.16 eV/atom.